Here is an optimized crystal structure of Th2AuF11 from the Materials Project database. Energies are from PBE.

a b c (Å): 8.7226 8.7226 8.7226
angles (deg): 97.66 97.66 137.16
Last column: nearest neighbours and their distance in Å.
Fractional coordinates of all 28 atoms:
F  0.5000  0.5000  0.5000  2 Th 2.35
F  0.1040  0.8653  0.9692  1 Au 1.95
F  0.0000  0.5000  0.0000  2 Th 2.35
F  0.6347  0.3960  0.0308  1 Au 1.95
F  0.0000  0.0000  0.5000  2 Th 2.35
F  0.0597  0.7500  0.3097  2 Th 2.35
F  0.5597  0.2500  0.3097  2 Th 2.35
F  0.6040  0.6347  0.2387  1 Au 1.95
F  0.7500  0.4403  0.6903  2 Th 2.35
F  0.9403  0.2500  0.6903  2 Th 2.35
F  0.5000  0.0000  0.5000  2 Th 2.33
F  0.3960  0.3653  0.7613  1 Au 1.95
F  0.4403  0.7500  0.6903  2 Th 2.35
F  0.2500  0.9403  0.6903  2 Th 2.35
F  0.0000  0.5000  0.5000  2 Th 2.33
F  0.2500  0.5597  0.3097  2 Th 2.35
F  0.8960  0.1347  0.0308  1 Au 1.95
F  0.3653  0.6040  0.9692  1 Au 1.95
F  0.7500  0.0597  0.3097  2 Th 2.35
F  0.5000  0.0000  0.0000  2 Th 2.35
F  0.8653  0.8960  0.7613  1 Au 1.95
F  0.1347  0.1040  0.2387  1 Au 1.95
Th  0.3565  0.1435  0.5000  9 F 2.33-2.59
Th  0.8565  0.3565  0.2130  9 F 2.33-2.59
Th  0.6435  0.8565  0.5000  9 F 2.33-2.59
Th  0.1435  0.6435  0.7870  9 F 2.33-2.59
Au  0.5000  0.5000  0.0000  4 F 1.95
Au  0.0000  0.0000  0.0000  4 F 1.95

Summary:
Symmetry: I4/mcm, No. 140
Energy of formation, eV/atom: -3.59
E_tot, eV/cell: -168.7